Density functional theory data (PBE) for a geometry-optimized UCrCuSi2 structure.

The structure in POSCAR format:
```
UCrCuSi2
1.0
-1.971 1.971 5.179
1.971 -1.971 5.179
1.971 1.971 -5.179
Cu U Si Cr
1 1 2 1
direct
0.750 0.250 0.500
0.000 0.000 0.000
0.385 0.385 0.000
0.615 0.615 0.000
0.250 0.750 0.500
```

## Properties
The formation energy from the elements is -0.181 eV/atom. The total energy is -36.94 eV/cell. Its total magnetization is 4.9 μB per cell. The symmetry is I-4m2. The value obtained for the theoretical density is 8.46 g cm⁻³.